This record from the Materials Project describes H16PdC4S4N8Cl2 after structural relaxation. The functional is GGA-PBE.

```
H16PdC4S4N8Cl2
1.0
5.686 8.569 0.000
-5.686 8.569 0.000
0.000 0.367 8.961
H Pd C S N Cl
32 2 8 8 16 4
direct
0.939 0.671 0.635
0.671 0.939 0.135
0.614 0.869 0.830
0.793 0.658 0.731
0.869 0.614 0.330
0.658 0.793 0.231
0.976 0.352 0.680
0.352 0.976 0.180
0.601 0.592 0.551
0.519 0.669 0.720
0.592 0.601 0.051
0.669 0.519 0.220
0.297 0.844 0.725
0.212 0.913 0.555
0.844 0.297 0.225
0.913 0.212 0.055
0.087 0.788 0.945
0.156 0.703 0.775
0.788 0.087 0.445
0.703 0.156 0.275
0.331 0.481 0.780
0.408 0.399 0.949
0.481 0.331 0.280
0.399 0.408 0.449
0.648 0.024 0.820
0.024 0.648 0.320
0.342 0.207 0.769
0.131 0.386 0.670
0.207 0.342 0.269
0.386 0.131 0.170
0.329 0.061 0.865
0.061 0.329 0.365
0.823 0.177 0.750
0.177 0.823 0.250
0.798 0.857 0.717
0.857 0.798 0.217
0.405 0.754 0.534
0.754 0.405 0.034
0.246 0.595 0.966
0.595 0.246 0.466
0.143 0.202 0.783
0.202 0.143 0.283
0.904 0.946 0.656
0.946 0.904 0.156
0.746 0.410 0.840
0.410 0.746 0.340
0.590 0.254 0.660
0.254 0.590 0.160
0.054 0.096 0.844
0.096 0.054 0.344
0.678 0.920 0.793
0.920 0.678 0.293
0.842 0.720 0.687
0.720 0.842 0.187
0.517 0.666 0.607
0.666 0.517 0.107
0.296 0.843 0.611
0.843 0.296 0.111
0.157 0.704 0.889
0.704 0.157 0.389
0.334 0.483 0.893
0.483 0.334 0.393
0.280 0.158 0.813
0.158 0.280 0.313
0.080 0.322 0.707
0.322 0.080 0.207
0.449 0.816 0.942
0.816 0.449 0.442
0.184 0.551 0.558
0.551 0.184 0.058
```

The symmetry is C2/c, No. 15. The formation energy comes out at -392 meV per atom. The energy with MP2020 corrections comes out at -394.06 eV per cell.


This record from the Materials Project describes H16PtC4N2Cl6 after structural relaxation. The functional is GGA-PBE.

```
H16PtC4N2Cl6
1.0
6.509 -3.424 -0.208
1.483 -4.652 -7.164
6.224 4.191 -4.343
H Pt C N Cl
16 1 4 2 6
direct
0.231 0.656 0.656
0.456 0.656 0.656
0.769 0.344 0.344
0.544 0.344 0.344
0.279 0.924 0.519
0.279 0.519 0.924
0.721 0.481 0.076
0.721 0.076 0.481
0.046 0.954 0.710
0.290 0.710 0.954
0.954 0.290 0.046
0.710 0.046 0.290
0.954 0.046 0.290
0.710 0.290 0.046
0.046 0.710 0.954
0.290 0.954 0.710
0.000 0.500 0.500
0.221 0.899 0.659
0.221 0.659 0.899
0.779 0.341 0.101
0.779 0.101 0.341
0.290 0.710 0.710
0.710 0.290 0.290
0.230 0.657 0.343
0.770 0.343 0.657
0.770 0.657 0.343
0.230 0.343 0.657
0.800 0.700 0.700
0.200 0.300 0.300
```

The symmetry is Immm, No. 71. The formation energy comes out at -503 meV per atom. The energy with MP2020 corrections comes out at -139.63 eV per cell.


This record from the Materials Project describes H16PtC4N2Cl6 after structural relaxation. The functional is GGA-PBE.

```
H16PtC4N2Cl6
1.0
4.911 6.397 0.000
-4.911 6.397 0.000
0.000 4.061 6.161
H Pt C N Cl
16 1 4 2 6
direct
0.936 0.504 0.281
0.504 0.936 0.281
0.496 0.064 0.719
0.064 0.496 0.719
0.290 0.032 0.958
0.032 0.290 0.958
0.354 0.354 0.757
0.650 0.650 0.463
0.973 0.714 0.282
0.714 0.973 0.282
0.286 0.027 0.718
0.027 0.286 0.718
0.350 0.350 0.537
0.646 0.646 0.243
0.968 0.710 0.042
0.710 0.968 0.042
0.500 0.500 0.000
0.909 0.656 0.220
0.656 0.909 0.220
0.344 0.091 0.780
0.091 0.344 0.780
0.707 0.707 0.295
0.293 0.293 0.705
0.334 0.664 0.769
0.664 0.334 0.769
0.666 0.336 0.231
0.336 0.666 0.231
0.722 0.722 0.787
0.278 0.278 0.213
```

The symmetry is C2/m, No. 12. The formation energy comes out at -497 meV per atom. The energy with MP2020 corrections comes out at -139.46 eV per cell.


This record from the Materials Project describes ReH12C3S3N6Cl6 after structural relaxation. The functional is GGA-PBE.

```
ReH12C3S3N6Cl6
1.0
-4.804 9.345 -4.323
-14.093 -7.720 -1.028
-4.820 6.277 18.926
Re H C S N Cl
8 96 24 24 48 48
direct
0.697 0.158 0.386
0.197 0.342 0.614
0.303 0.658 0.114
0.803 0.842 0.886
0.303 0.842 0.614
0.803 0.658 0.386
0.697 0.342 0.886
0.197 0.158 0.114
0.561 0.389 0.296
0.061 0.111 0.704
0.439 0.889 0.204
0.939 0.611 0.796
0.439 0.611 0.704
0.939 0.889 0.296
0.561 0.111 0.796
0.061 0.389 0.204
0.664 0.322 0.259
0.164 0.178 0.741
0.336 0.822 0.241
0.836 0.678 0.759
0.336 0.678 0.741
0.836 0.822 0.259
0.664 0.178 0.759
0.164 0.322 0.241
0.441 0.472 0.237
0.941 0.028 0.763
0.559 0.972 0.263
0.059 0.528 0.737
0.559 0.528 0.763
0.059 0.972 0.237
0.441 0.028 0.737
0.941 0.472 0.263
0.450 0.475 0.151
0.950 0.025 0.849
0.550 0.975 0.349
0.050 0.525 0.651
0.550 0.525 0.849
0.050 0.975 0.151
0.450 0.025 0.651
0.950 0.475 0.349
0.552 0.105 0.134
0.052 0.395 0.866
0.448 0.605 0.366
0.948 0.895 0.634
0.448 0.895 0.866
0.948 0.605 0.134
0.552 0.395 0.634
0.052 0.105 0.366
0.524 0.211 0.120
0.024 0.289 0.880
0.476 0.711 0.380
0.976 0.789 0.620
0.476 0.789 0.880
0.976 0.711 0.120
0.524 0.289 0.620
0.024 0.211 0.380
0.738 0.062 0.162
0.238 0.438 0.838
0.262 0.562 0.338
0.762 0.938 0.662
0.262 0.938 0.838
0.762 0.562 0.162
0.738 0.438 0.662
0.238 0.062 0.338
0.854 0.135 0.172
0.354 0.365 0.828
0.146 0.635 0.328
0.646 0.865 0.672
0.146 0.865 0.828
0.646 0.635 0.172
0.854 0.365 0.672
0.354 0.135 0.328
0.843 0.398 0.493
0.343 0.102 0.507
0.157 0.898 0.007
0.657 0.602 0.993
0.157 0.602 0.507
0.657 0.898 0.493
0.843 0.102 0.993
0.343 0.398 0.007
0.831 0.290 0.488
0.331 0.210 0.512
0.169 0.790 0.012
0.669 0.710 0.988
0.169 0.710 0.512
0.669 0.790 0.488
0.831 0.210 0.988
0.331 0.290 0.012
0.673 0.481 0.471
0.173 0.019 0.529
0.327 0.981 0.029
0.827 0.519 0.971
0.327 0.519 0.529
0.827 0.981 0.471
0.673 0.019 0.971
0.173 0.481 0.029
0.546 0.432 0.443
0.046 0.068 0.557
0.454 0.932 0.057
0.954 0.568 0.943
0.454 0.568 0.557
0.954 0.932 0.443
0.546 0.068 0.943
0.046 0.432 0.057
0.561 0.393 0.198
0.061 0.107 0.802
0.439 0.893 0.302
0.939 0.607 0.698
0.439 0.607 0.802
0.939 0.893 0.198
0.561 0.107 0.698
0.061 0.393 0.302
0.693 0.181 0.145
0.193 0.319 0.855
0.307 0.681 0.355
0.807 0.819 0.645
0.307 0.819 0.855
0.807 0.681 0.145
0.693 0.319 0.645
0.193 0.181 0.355
0.681 0.353 0.464
0.181 0.147 0.536
0.319 0.853 0.036
0.819 0.647 0.964
0.319 0.647 0.536
0.819 0.853 0.464
0.681 0.147 0.964
0.181 0.353 0.036
0.615 0.357 0.121
0.115 0.143 0.879
0.385 0.857 0.379
0.885 0.643 0.621
0.385 0.643 0.879
0.885 0.857 0.121
0.615 0.143 0.621
0.115 0.357 0.379
0.754 0.284 0.145
0.254 0.216 0.855
0.246 0.784 0.355
0.746 0.716 0.645
0.246 0.716 0.855
0.746 0.784 0.145
0.754 0.216 0.645
0.254 0.284 0.355
0.594 0.267 0.446
0.094 0.233 0.554
0.406 0.767 0.054
0.906 0.733 0.946
0.406 0.733 0.554
0.906 0.767 0.446
0.594 0.233 0.946
0.094 0.267 0.054
0.600 0.366 0.255
0.100 0.134 0.745
0.400 0.866 0.245
0.900 0.634 0.755
0.400 0.634 0.745
0.900 0.866 0.255
0.600 0.134 0.755
0.100 0.366 0.245
0.478 0.451 0.194
0.978 0.049 0.806
0.522 0.951 0.306
0.022 0.549 0.694
0.522 0.549 0.806
0.022 0.951 0.194
0.478 0.049 0.694
0.978 0.451 0.306
0.582 0.165 0.131
0.082 0.335 0.869
0.418 0.665 0.369
0.918 0.835 0.631
0.418 0.835 0.869
0.918 0.665 0.131
0.582 0.335 0.631
0.082 0.165 0.369
0.769 0.122 0.160
0.269 0.378 0.840
0.231 0.622 0.340
0.731 0.878 0.660
0.231 0.878 0.840
0.731 0.622 0.160
0.769 0.378 0.660
0.269 0.122 0.340
0.793 0.347 0.483
0.293 0.153 0.517
0.207 0.847 0.017
0.707 0.653 0.983
0.207 0.653 0.517
0.707 0.847 0.483
0.793 0.153 0.983
0.293 0.347 0.017
0.628 0.427 0.462
0.128 0.073 0.538
0.372 0.927 0.038
0.872 0.573 0.962
0.372 0.573 0.538
0.872 0.927 0.462
0.628 0.073 0.962
0.128 0.427 0.038
0.549 0.169 0.304
0.049 0.331 0.696
0.451 0.669 0.196
0.951 0.831 0.804
0.451 0.831 0.696
0.951 0.669 0.304
0.549 0.331 0.804
0.049 0.169 0.196
0.815 0.257 0.331
0.315 0.243 0.669
0.185 0.757 0.169
0.685 0.743 0.831
0.185 0.743 0.669
0.685 0.757 0.331
0.815 0.243 0.831
0.315 0.257 0.169
0.841 0.144 0.470
0.341 0.356 0.530
0.159 0.644 0.030
0.659 0.856 0.970
0.159 0.856 0.530
0.659 0.644 0.470
0.841 0.356 0.970
0.341 0.144 0.030
0.787 0.050 0.327
0.287 0.450 0.673
0.213 0.550 0.173
0.713 0.950 0.827
0.213 0.950 0.673
0.713 0.550 0.327
0.787 0.450 0.827
0.287 0.050 0.173
0.575 0.061 0.443
0.075 0.439 0.557
0.425 0.561 0.057
0.925 0.939 0.943
0.425 0.939 0.557
0.925 0.561 0.443
0.575 0.439 0.943
0.075 0.061 0.057
0.904 0.464 0.150
0.404 0.036 0.850
0.096 0.964 0.350
0.596 0.536 0.650
0.096 0.536 0.850
0.596 0.964 0.150
0.904 0.036 0.650
0.404 0.464 0.350
```

The symmetry is Pbca, No. 61. The formation energy comes out at -529 meV per atom. The energy with MP2020 corrections comes out at -1366.07 eV per cell.


Q: Look up the energy with MP2020 corrections of the fourth one.
A: -1366.07 eV per cell


Q: The highest energy with MP2020 corrections belongs to which entry?
A: number 3